No. 1
The following is a PBE+U calculation of a relaxed AlFe2O4 crystal, from the Materials Project.

a b c (Å): 5.998 5.943 5.941
angles (deg): 59.10 59.61 59.62
Positions (direct):
Al 0.882 0.867 0.868
Al 0.118 0.133 0.132
Fe 0.500 0.500 0.500
Fe 0.500 0.500 0.000
Fe 0.000 0.500 0.500
Fe 0.500 0.000 0.500
O 0.237 0.256 0.257
O 0.757 0.738 0.248
O 0.251 0.743 0.744
O 0.757 0.247 0.739
O 0.749 0.257 0.256
O 0.243 0.753 0.261
O 0.243 0.262 0.752
O 0.763 0.744 0.743

Computed properties:
Relative energy among the computed polymorphs   0.000 eV/f.u.
Electronic total energy   -6.980 eV per atom
Formation energy   -2.234 eV/atom



No. 2
The following is a PBE+U calculation of a relaxed LiMnP3O9 crystal, from the Materials Project.

a b c (Å): 7.543 9.114 10.863
angles (deg): 93.53 97.37 90.79
Positions (direct):
Li 0.296 0.503 0.368
Li 0.296 0.003 0.868
Li 0.704 0.497 0.632
Li 0.704 0.997 0.132
Mn 0.172 0.793 0.635
Mn 0.828 0.206 0.365
Mn 0.173 0.293 0.135
Mn 0.827 0.707 0.865
P 0.158 0.656 0.113
P 0.158 0.156 0.613
P 0.842 0.344 0.887
P 0.842 0.844 0.387
P 0.291 0.461 0.684
P 0.291 0.961 0.184
P 0.709 0.539 0.316
P 0.709 0.039 0.816
P 0.371 0.672 0.900
P 0.371 0.171 0.400
P 0.629 0.328 0.100
P 0.629 0.829 0.600
O 0.011 0.325 0.971
O 0.011 0.825 0.471
O 0.989 0.675 0.029
O 0.989 0.175 0.529
O 0.168 0.529 0.197
O 0.168 0.029 0.697
O 0.832 0.471 0.803
O 0.832 0.971 0.303
O 0.152 0.558 0.621
O 0.152 0.058 0.121
O 0.848 0.442 0.379
O 0.848 0.942 0.879
O 0.242 0.783 0.841
O 0.242 0.283 0.341
O 0.758 0.217 0.159
O 0.758 0.717 0.659
O 0.204 0.301 0.703
O 0.204 0.801 0.203
O 0.796 0.699 0.298
O 0.796 0.199 0.797
O 0.327 0.641 0.036
O 0.327 0.140 0.536
O 0.673 0.359 0.964
O 0.673 0.859 0.464
O 0.326 0.512 0.831
O 0.326 0.012 0.331
O 0.674 0.488 0.169
O 0.674 0.988 0.669
O 0.434 0.294 0.091
O 0.434 0.794 0.591
O 0.566 0.706 0.909
O 0.566 0.206 0.409
O 0.538 0.558 0.370
O 0.538 0.058 0.870
O 0.462 0.442 0.630
O 0.462 0.942 0.130

Computed properties:
Relative energy among the computed polymorphs   0.495 eV/f.u.
Electronic total energy   -7.170 eV per atom
Formation energy   -2.599 eV/atom



No. 3
The following is a PBE+U calculation of a relaxed MgMnNbO4 crystal, from the Materials Project.

a b c (Å): 5.635 5.635 5.635
angles (deg): 134.35 136.99 64.52
Positions (direct):
Mg 0.570 0.570 0.000
Mn 0.771 0.271 0.500
Nb 0.999 0.999 0.000
O 0.520 0.020 0.500
O 0.203 0.203 0.000
O 0.998 0.498 0.500
O 0.782 0.782 0.000

Computed properties:
Relative energy among the computed polymorphs   1.009 eV/f.u.
Electronic total energy   -7.634 eV per atom
Formation energy   -2.457 eV/atom



No. 4
The following is a PBE+U calculation of a relaxed Li9Mn2Co5O16 crystal, from the Materials Project.

a b c (Å): 5.933 5.933 10.344
angles (deg): 71.16 71.16 58.06
Positions (direct):
Li 0.505 0.505 0.995
Li 0.007 0.007 0.992
Li 0.748 0.247 0.260
Li 0.247 0.748 0.260
Li 0.998 0.998 0.505
Li 0.497 0.497 0.509
Li 0.252 0.748 0.736
Li 0.748 0.252 0.736
Li 0.250 0.250 0.747
Mn 0.000 0.501 0.997
Mn 0.501 0.000 0.997
Co 0.248 0.248 0.258
Co 0.749 0.749 0.251
Co 0.502 0.001 0.507
Co 0.001 0.502 0.507
Co 0.752 0.752 0.749
O 0.367 0.367 0.894
O 0.870 0.870 0.891
O 0.608 0.097 0.128
O 0.097 0.608 0.128
O 0.864 0.864 0.380
O 0.367 0.367 0.372
O 0.096 0.628 0.628
O 0.628 0.096 0.628
O 0.635 0.635 0.111
O 0.135 0.135 0.110
O 0.879 0.393 0.364
O 0.393 0.879 0.364
O 0.133 0.133 0.612
O 0.625 0.625 0.625
O 0.409 0.886 0.879
O 0.886 0.409 0.879

Computed properties:
Relative energy among the computed polymorphs   1.480 eV/f.u.
Electronic total energy   -5.808 eV per atom
Formation energy   -1.818 eV/atom



No. 5
The following is a PBE+U calculation of a relaxed Cs6Si2NiO8 crystal, from the Materials Project.

a b c (Å): 6.999 7.162 8.098
angles (deg): 87.49 88.53 69.33
Positions (direct):
Cs 0.202 0.702 0.011
Cs 0.721 0.209 0.478
Cs 0.798 0.298 0.989
Cs 0.660 0.831 0.167
Cs 0.340 0.169 0.833
Cs 0.279 0.791 0.522
Si 0.779 0.737 0.722
Si 0.221 0.263 0.278
Ni 0.000 0.500 0.500
O 0.008 0.470 0.264
O 0.766 0.744 0.514
O 0.992 0.530 0.736
O 0.421 0.297 0.188
O 0.816 0.933 0.793
O 0.234 0.256 0.486
O 0.579 0.703 0.812
O 0.184 0.067 0.207

Computed properties:
Electronic total energy   -5.383 eV per atom
Formation energy   -2.233 eV/atom



No. 6
The following is a PBE+U calculation of a relaxed Cs2NaMnF6 crystal, from the Materials Project.

a b c (Å): 6.290 6.290 6.290
angles (deg): 60.00 60.00 60.00
Positions (direct):
Cs 0.250 0.250 0.250
Cs 0.750 0.750 0.750
Na 0.500 0.500 0.500
Mn 0.000 0.000 0.000
F 0.775 0.775 0.225
F 0.775 0.225 0.775
F 0.225 0.775 0.225
F 0.775 0.225 0.225
F 0.225 0.225 0.775
F 0.225 0.775 0.775

Computed properties:
Relative energy among the computed polymorphs   0.023 eV/f.u.
Electronic total energy   -4.857 eV per atom
Formation energy   -2.924 eV/atom



No. 7
The following is a PBE+U calculation of a relaxed NaNi2H3S2O10 crystal, from the Materials Project.

a b c (Å): 5.355 5.355 7.409
angles (deg): 69.71 69.71 71.70
Positions (direct):
Na 0.498 0.498 0.501
Ni 0.996 0.498 0.001
Ni 0.498 0.996 0.001
H 0.301 0.301 0.236
H 0.688 0.688 0.772
H 0.491 0.491 0.008
S 0.905 0.905 0.294
S 0.091 0.091 0.708
O 0.342 0.342 0.089
O 0.649 0.649 0.918
O 0.209 0.816 0.249
O 0.816 0.209 0.249
O 0.787 0.178 0.753
O 0.178 0.787 0.753
O 0.777 0.777 0.501
O 0.219 0.219 0.501
O 0.810 0.810 0.161
O 0.187 0.187 0.840

Computed properties:
Relative energy among the computed polymorphs   0.000 eV/f.u.
Electronic total energy   -5.530 eV per atom
Formation energy   -1.704 eV/atom



No. 8
The following is a PBE+U calculation of a relaxed CaLaFeBiO6 crystal, from the Materials Project.

a b c (Å): 5.917 5.917 5.917
angles (deg): 60.00 60.00 60.00
Positions (direct):
Ca 0.250 0.250 0.250
La 0.500 0.500 0.500
Fe 0.000 0.000 0.000
Bi 0.750 0.750 0.750
O 0.771 0.229 0.229
O 0.229 0.771 0.771
O 0.771 0.229 0.771
O 0.229 0.771 0.229
O 0.771 0.771 0.229
O 0.229 0.229 0.771

Computed properties:
Relative energy among the computed polymorphs   4.381 eV/f.u.
Electronic total energy   -6.324 eV per atom
Formation energy   -2.063 eV/atom



No. 9
The following is a PBE+U calculation of a relaxed Sr2MgNiIrO6 crystal, from the Materials Project.

a b c (Å): 5.938 5.679 5.680
angles (deg): 103.50 121.81 100.83
Positions (direct):
Sr 0.742 0.181 0.430
Sr 0.302 0.908 0.622
Mg 0.120 0.374 0.178
Ni 0.960 0.785 0.884
Ir 0.512 0.523 0.019
O 0.224 0.401 0.573
O 0.812 0.656 0.470
O 0.272 0.184 0.001
O 0.745 0.847 0.039
O 0.719 0.325 0.900
O 0.294 0.710 0.157

Computed properties:
Relative energy among the computed polymorphs   0.000 eV/f.u.
Electronic total energy   -5.954 eV per atom
Formation energy   -2.079 eV/atom



No. 10
The following is a PBE+U calculation of a relaxed MnZnPO5 crystal, from the Materials Project.

a b c (Å): 5.553 6.981 8.297
angles (deg): 90.00 41.69 72.20
Positions (direct):
Mn 0.499 0.486 0.995
Mn 0.499 0.986 0.996
Zn 0.502 0.230 0.680
Zn 0.503 0.730 0.308
P 0.498 0.236 0.357
P 0.498 0.736 0.635
O 0.461 0.065 0.269
O 0.535 0.409 0.233
O 0.536 0.909 0.722
O 0.459 0.565 0.761
O 0.862 0.631 0.330
O 0.136 0.840 0.691
O 0.136 0.340 0.663
O 0.862 0.131 0.299
O 0.499 0.736 0.081
O 0.499 0.236 0.910

Computed properties:
Electronic total energy   -6.721 eV per atom
Formation energy   -2.287 eV/atom



No. 11
The following is a PBE+U calculation of a relaxed Y6Fe16O crystal, from the Materials Project.

a b c (Å): 8.194 8.194 8.194
angles (deg): 109.47 109.47 109.47
Positions (direct):
Y 0.263 0.263 0.000
Y 0.000 0.263 0.263
Y 0.000 0.737 0.737
Y 0.737 0.000 0.737
Y 0.263 0.000 0.263
Y 0.737 0.737 0.000
Fe 0.500 0.500 0.500
Fe 0.000 0.000 0.500
Fe 0.500 0.000 0.000
Fe 0.000 0.500 0.000
Fe 0.662 0.662 0.325
Fe 0.000 0.338 0.662
Fe 0.325 0.662 0.662
Fe 0.662 0.325 0.662
Fe 0.338 0.000 0.662
Fe 0.662 0.338 0.000
Fe 0.338 0.662 0.000
Fe 0.338 0.675 0.338
Fe 0.000 0.662 0.338
Fe 0.662 0.000 0.338
Fe 0.675 0.338 0.338
Fe 0.338 0.338 0.675
O 0.000 0.000 0.000

Computed properties:
Electronic total energy   -5.419 eV per atom
Formation energy   0.776 eV/atom



No. 12
The following is a PBE+U calculation of a relaxed LiV2P4H2O16 crystal, from the Materials Project.

a b c (Å): 7.746 7.901 9.764
angles (deg): 90.40 112.89 89.87
Positions (direct):
Li 0.349 0.367 0.224
Li 0.650 0.636 0.777
V 0.985 0.503 0.247
V 0.507 0.989 0.257
V 0.007 0.497 0.750
V 0.496 0.009 0.748
P 0.773 0.855 0.070
P 0.263 0.654 0.068
P 0.732 0.345 0.433
P 0.774 0.854 0.577
P 0.232 0.153 0.428
P 0.260 0.655 0.567
P 0.731 0.353 0.928
P 0.234 0.151 0.931
H 0.490 0.510 0.010
H 0.486 0.506 0.508
H 0.010 0.008 0.489
H 0.013 0.007 0.991
O 0.951 0.948 0.097
O 0.867 0.342 0.098
O 0.826 0.672 0.145
O 0.652 0.939 0.149
O 0.441 0.546 0.097
O 0.362 0.167 0.100
O 0.325 0.829 0.143
O 0.158 0.555 0.150
O 0.848 0.439 0.353
O 0.678 0.168 0.355
O 0.636 0.839 0.405
O 0.553 0.441 0.405
O 0.349 0.057 0.352
O 0.182 0.327 0.348
O 0.947 0.947 0.590
O 0.865 0.327 0.596
O 0.133 0.662 0.399
O 0.051 0.057 0.402
O 0.809 0.675 0.644
O 0.652 0.948 0.649
O 0.444 0.556 0.593
O 0.361 0.175 0.594
O 0.315 0.829 0.637
O 0.151 0.556 0.645
O 0.844 0.448 0.850
O 0.684 0.173 0.868
O 0.642 0.827 0.905
O 0.563 0.463 0.909
O 0.348 0.057 0.854
O 0.184 0.328 0.865
O 0.138 0.673 0.903
O 0.054 0.051 0.905

Computed properties:
Relative energy among the computed polymorphs   0.065 eV/f.u.
Electronic total energy   -6.932 eV per atom
Formation energy   -2.400 eV/atom